A relaxed Mg14NbCoO16 crystal. Source: Materials Project, functional GGA+U.

The structure belongs to space group P4/mmm (No. 123); the cell edges are 8.616, 8.616 and 4.272 Å and the angles 90.00°, 90.00° and 90.00°. The asymmetric unit holds Mg at (0.000, 0.244, 0.000), Mg at (0.000, 0.500, 0.500), Mg at (0.240, 0.500, 0.000), Mg at (0.242, 0.242, 0.500), Nb at (0.500, 0.500, 0.500), Co at (0.000, 0.000, 0.500), O at (0.000, 0.000, 0.000), O at (0.000, 0.262, 0.500), O at (0.000, 0.500, 0.000), O at (0.246, 0.500, 0.500), O at (0.251, 0.251, 0.000) and O at (0.500, 0.500, 0.000).

For the raw total energy, the calculation gives -6.12 eV/atom. The calculation puts the calculated volume at 317.1 Å³/cell.